## SiO2 (PBE)

Data for SiO2 after structural relaxation.

Structure (POSCAR):
```
SiO2
1.0
-4.198 7.414 13.922
4.198 -7.414 13.922
4.198 7.414 -13.922
O Si
64 32
Cartesian
2.450 9.217 -6.380 O
-1.913 4.820 16.423 O
0.000 2.890 4.327 O
2.099 5.619 13.922 O
-2.099 5.619 13.922 O
1.782 4.827 3.927 O
0.000 5.825 12.301 O
2.515 9.977 8.817 O
6.296 0.000 5.623 O
1.682 4.851 8.817 O
6.296 1.795 0.000 O
4.198 1.259 6.688 O
1.682 -2.563 5.104 O
-2.099 7.414 8.299 O
2.099 7.414 8.299 O
0.000 1.617 9.539 O
2.450 -1.803 7.542 O
2.284 2.594 -2.502 O
6.111 2.594 -2.502 O
5.945 -1.803 7.542 O
6.482 2.594 2.502 O
4.198 1.589 1.620 O
0.000 13.239 1.620 O
2.416 10.001 3.927 O
2.099 0.000 5.623 O
-1.682 4.851 8.817 O
1.748 9.217 6.380 O
2.416 4.827 -3.927 O
1.782 2.587 17.849 O
-2.515 9.977 8.817 O
1.748 -1.803 20.301 O
2.099 1.795 0.000 O
2.099 7.414 -4.425 O
1.782 -2.587 9.994 O
4.198 -1.617 9.539 O
0.000 1.259 21.155 O
4.198 -5.825 12.301 O
5.880 2.563 5.104 O
4.198 5.797 4.382 O
4.198 4.524 9.595 O
0.000 4.524 18.248 O
4.198 6.156 -7.233 O
-1.748 9.217 6.380 O
2.416 -2.587 17.849 O
-2.284 4.820 11.420 O
1.913 2.594 2.502 O
2.450 5.611 6.380 O
1.913 4.820 16.423 O
1.782 10.001 -3.927 O
2.099 7.414 11.945 O
2.515 2.563 5.104 O
2.099 0.000 1.977 O
0.000 9.031 4.382 O
-2.099 7.414 11.945 O
2.284 4.820 11.420 O
2.099 0.000 18.346 O
4.198 2.890 -4.327 O
6.296 0.000 1.977 O
2.416 2.587 9.994 O
0.000 6.156 7.233 O
2.099 7.414 4.425 O
6.713 -2.563 5.104 O
2.099 0.000 9.497 O
1.748 1.803 7.542 O
1.552 4.198 17.877 Si
1.616 1.489 -1.521 Si
5.758 1.414 6.238 Si
1.561 6.000 7.684 Si
2.646 -4.198 17.877 Si
1.567 1.492 9.141 Si
1.567 -1.492 18.702 Si
6.780 1.489 -1.521 Si
2.637 6.000 -7.684 Si
2.582 1.489 1.521 Si
1.567 8.906 4.781 Si
2.631 8.906 -4.781 Si
-1.616 5.925 12.400 Si
1.561 -1.414 6.238 Si
-1.561 6.000 7.684 Si
5.813 1.489 1.521 Si
1.567 5.922 -4.781 Si
1.552 11.612 -3.956 Si
-1.552 4.198 17.877 Si
1.552 3.216 3.956 Si
2.646 4.198 9.966 Si
2.631 1.492 18.702 Si
1.561 1.414 21.605 Si
2.631 -1.492 9.141 Si
2.646 3.216 -3.956 Si
5.749 3.216 -3.956 Si
-2.582 5.925 15.443 Si
2.637 8.829 7.684 Si
2.631 5.922 4.781 Si
1.616 5.925 12.401 Si
2.582 5.925 15.443 Si
2.637 1.414 6.238 Si
```

Properties
The energy of formation from the pure elements comes out at -3.2533 eV per atom. The density comes out at 1842 kg/m³. For the total DFT energy (no corrections), the calculation gives -7.90 eV/atom. As for the space group: Ibam.